## i
This record from Materials Project describes a geometry-optimized IrRu structure. The functional is PBE.

```
2
Lattice="2.745 0.000 0.000 -1.373 2.377 0.000 0.000 0.000 4.364" Properties=species:S:1:pos:R:3 pbc="T T T"
Ir 0.000 0.000 0.000
Ru 1.373 0.792 2.182
```

Summary:
The volume comes out at 28.5 Å³/cell. As for the space group: P-6m2 (187).

## ii
This record from Materials Project describes a geometry-optimized IrRu structure. The functional is PBE.

```
2
Lattice="1.359 0.784 4.455 -1.359 0.784 4.455 0.000 -1.569 4.455" Properties=species:S:1:pos:R:3 pbc="T T T"
Ir 0.000 0.000 0.000
Ru 0.000 0.000 6.683
```

Summary:
The volume comes out at 28.5 Å³/cell. As for the space group: R-3m (166).

Among the structures above, stability is greatest for i.